1.
Computed, not measured: crystalline Sm3Bi4Au3 at its relaxed geometry at the r2SCAN level of DFT.

Magnetic moment ... 0.0 μB per formula unit
Symmetry ... I-43d, No. 220
Formation energy ... -820 meV per atom
Energy ... -966.327 eV/cell

a = 8.8363 Å, b = 8.8363 Å, c = 8.8363 Å
α = 109.47°, β = 109.47°, γ = 109.47°
Fractional positions:
Sm: 0.1250 0.8750 0.2500
Sm: 0.2500 0.1250 0.8750
Sm: 0.3750 0.6250 0.7500
Sm: 0.6250 0.7500 0.3750
Sm: 0.7500 0.3750 0.6250
Sm: 0.8750 0.2500 0.1250
Bi: 0.0000 0.1783 0.5000
Bi: 0.0000 0.6783 0.5000
Bi: 0.1783 0.5000 0.0000
Bi: 0.3217 0.3217 0.3217
Bi: 0.5000 0.0000 0.1783
Bi: 0.5000 0.0000 0.6783
Bi: 0.6783 0.5000 0.0000
Bi: 0.8217 0.8217 0.8217
Au: 0.1250 0.7500 0.8750
Au: 0.2500 0.6250 0.3750
Au: 0.3750 0.2500 0.6250
Au: 0.6250 0.3750 0.2500
Au: 0.7500 0.8750 0.1250
Au: 0.8750 0.1250 0.7500

2.
Computed, not measured: crystalline CsAuBr3 at its relaxed geometry at the r2SCAN level of DFT.

Magnetic moment ... 0.0 μB per formula unit
Symmetry ... I4/mmm, No. 139
Formation energy ... -1044 meV per atom
Energy ... -241.380 eV/cell

a = 7.9586 Å, b = 7.9586 Å, c = 7.9586 Å
α = 121.23°, β = 121.23°, γ = 87.88°
Fractional positions:
Cs: 0.2500 0.7500 0.5000
Cs: 0.7500 0.2500 0.5000
Au: 0.0000 0.0000 0.0000
Au: 0.5000 0.5000 0.0000
Br: 0.2131 0.2131 0.0000
Br: 0.2746 0.2746 0.5491
Br: 0.2746 0.7254 0.0000
Br: 0.7254 0.2746 0.0000
Br: 0.7254 0.7254 0.4509
Br: 0.7869 0.7869 0.0000